No. 1
# PBE-GGA HfSi2O2, relaxed
# V: 30.14 Å³ per atom
# energy of formation from the pure elements: -1.2768 eV/atom
# total magnetization: 2.8 μB per cell
data_HfSi2O2
_symmetry_space_group_name_H-M 'I 41/a m d'
_symmetry_Int_Tables_number 141
_cell_length_a 8.988
_cell_length_b 8.988
_cell_length_c 14.923
_cell_angle_alpha 90.00
_cell_angle_beta 90.00
_cell_angle_gamma 90.00
loop_
_symmetry_equiv_pos_as_xyz
'x,y,z'
'-x,-y,-z'
'-y+1/4,x+3/4,z+1/4'
'y+1/4,-x+3/4,-z+1/4'
'-x+1/2,-y,z+1/2'
'x+1/2,y,-z+1/2'
'y+1/4,-x+1/4,z+3/4'
'-y+1/4,x+1/4,-z+3/4'
'x,-y,-z'
'-x,y,z'
'-y+1/4,-x+1/4,-z+3/4'
'y+1/4,x+1/4,z+3/4'
'-x+1/2,y,-z+1/2'
'x+1/2,-y,z+1/2'
'y+1/4,x+3/4,-z+1/4'
'-y+1/4,-x+3/4,z+1/4'
'x+1/2,y+1/2,z+1/2'
'-x+1/2,-y+1/2,-z+1/2'
'-y+3/4,x+1/4,z+3/4'
'y+3/4,-x+1/4,-z+3/4'
'-x,-y+1/2,z'
'x,y+1/2,-z'
'y+3/4,-x+3/4,z+1/4'
'-y+3/4,x+3/4,-z+1/4'
'x+1/2,-y+1/2,-z+1/2'
'-x+1/2,y+1/2,z+1/2'
'-y+3/4,-x+3/4,-z+1/4'
'y+3/4,x+3/4,z+1/4'
'-x,y+1/2,-z'
'x,-y+1/2,z'
'y+3/4,x+1/4,-z+3/4'
'-y+3/4,-x+1/4,z+3/4'
loop_
_atom_site_label
_atom_site_fract_x
_atom_site_fract_y
_atom_site_fract_z
Hf1 0.000 0.000 0.000
Si1 0.000 0.075 0.781
O1 0.000 0.039 0.133

No. 2
# PBE-GGA SrSmHfTiO6, relaxed
# V: 13.07 Å³ per atom
# energy of formation from the pure elements: -3.5468 eV/atom
# total magnetization: 0.2 μB per cell
data_SrSmHfTiO6
_symmetry_space_group_name_H-M 'F -4 3 m'
_symmetry_Int_Tables_number 216
_symmetry_space_group_name_Hall 'F -4 2 3'
_cell_length_a 8.056
_cell_length_b 8.056
_cell_length_c 8.056
_cell_angle_alpha 90.00
_cell_angle_beta 90.00
_cell_angle_gamma 90.00
loop_
_atom_site_label
_atom_site_fract_x
_atom_site_fract_y
_atom_site_fract_z
Sr1 0.000 0.000 0.000
Sm1 0.000 0.000 0.500
Hf1 0.250 0.250 0.750
Ti1 0.250 0.250 0.250
O1 0.005 0.250 0.250

No. 3
# PBE-GGA SrHfZrSnO6, relaxed
# V: 14.50 Å³ per atom
# energy of formation from the pure elements: -3.2304 eV/atom
data_SrHfZrSnO6
_symmetry_space_group_name_H-M 'F -4 3 m'
_symmetry_Int_Tables_number 216
_symmetry_space_group_name_Hall 'F -4 2 3'
_cell_length_a 8.339
_cell_length_b 8.339
_cell_length_c 8.339
_cell_angle_alpha 90.00
_cell_angle_beta 90.00
_cell_angle_gamma 90.00
loop_
_atom_site_label
_atom_site_fract_x
_atom_site_fract_y
_atom_site_fract_z
Sr1 0.000 0.000 0.000
Hf1 0.250 0.250 0.750
Zr1 0.250 0.250 0.250
Sn1 0.000 0.000 0.500
O1 0.002 0.250 0.750

No. 4
# PBE-GGA HfTiSn2O6, relaxed
# V: 13.21 Å³ per atom
# energy of formation from the pure elements: -2.7210 eV/atom
# total magnetization: 0.0 μB per cell
data_HfTiSn2O6
_symmetry_space_group_name_H-M 'F m -3 m'
_symmetry_Int_Tables_number 225
_symmetry_space_group_name_Hall '-F 4 2 3'
_cell_length_a 8.085
_cell_length_b 8.085
_cell_length_c 8.085
_cell_angle_alpha 90.00
_cell_angle_beta 90.00
_cell_angle_gamma 90.00
loop_
_atom_site_label
_atom_site_fract_x
_atom_site_fract_y
_atom_site_fract_z
Hf1 0.000 0.000 0.000
Ti1 0.000 0.000 0.500
Sn1 0.250 0.250 0.250
O1 0.000 0.000 0.256

No. 5
# PBE-GGA Sr3Hf2O7, relaxed
# V: 14.82 Å³ per atom
# energy of formation from the pure elements: -3.6819 eV/atom
data_Sr3Hf2O7
_symmetry_space_group_name_H-M 'C c c e'
_symmetry_Int_Tables_number 68
_cell_length_a 5.771
_cell_length_b 21.366
_cell_length_c 5.771
_cell_angle_alpha 90.00
_cell_angle_beta 90.00
_cell_angle_gamma 90.00
loop_
_symmetry_equiv_pos_as_xyz
'x,y,z'
'-x,-y,-z'
'-x+1/2,-y,z'
'x+1/2,y,-z'
'x+1/2,-y,-z+1/2'
'-x+1/2,y,z+1/2'
'-x,y,-z+1/2'
'x,-y,z+1/2'
'x+1/2,y+1/2,z'
'-x+1/2,-y+1/2,-z'
'-x,-y+1/2,z'
'x,y+1/2,-z'
'x,-y+1/2,-z+1/2'
'-x,y+1/2,z+1/2'
'-x+1/2,y+1/2,-z+1/2'
'x+1/2,-y+1/2,z+1/2'
loop_
_atom_site_label
_atom_site_fract_x
_atom_site_fract_y
_atom_site_fract_z
Sr1 0.000 0.062 0.250
Sr2 0.000 0.250 0.250
Hf1 0.000 0.151 0.750
O1 0.000 0.054 0.750
O2 0.000 0.250 0.750
O3 0.201 0.153 0.049

No. 6
# PBE-GGA Sr2Hf7O16, relaxed
# V: 12.71 Å³ per atom
# energy of formation from the pure elements: -3.9343 eV/atom
data_Sr2Hf7O16
_symmetry_space_group_name_H-M 'R -3'
_symmetry_Int_Tables_number 148
_symmetry_space_group_name_Hall '-R 3'
_cell_length_a 6.4063
_cell_length_b 6.4063
_cell_length_c 26.8129
_cell_angle_alpha 90.00
_cell_angle_beta 90.00
_cell_angle_gamma 120.00
loop_
_atom_site_label
_atom_site_fract_x
_atom_site_fract_y
_atom_site_fract_z
Sr1 0.0000 0.0000 0.1666
Hf1 0.0000 0.0000 0.5000
Hf2 0.0016 0.6310 0.3846
O1 0.0000 0.0000 0.0709
O2 0.0000 0.0000 0.2645
O3 0.0075 0.7292 0.4572
O4 0.0136 0.7248 0.6368

Question: energy of formation from the pure elements of number 5 (Sr3Hf2O7)?
Answer: -3.6819 eV/atom